(1)
DFT (PBE with a Hubbard U) results for a relaxed structure of Co2Bi11O20.

abc: 8.742 8.835 8.841
angles: 110.53 108.70 107.96
Sites, in units of the cell vectors:
Co 0.805 0.095 0.333
Co 0.004 0.018 0.029
Bi 0.499 0.659 0.804
Bi 0.818 0.484 0.649
Bi 0.295 0.152 0.486
Bi 0.136 0.316 0.821
Bi 0.320 0.832 0.132
Bi 0.703 0.193 0.857
Bi 0.860 0.715 0.198
Bi 0.651 0.797 0.505
Bi 0.149 0.485 0.294
Bi 0.504 0.304 0.161
Bi 0.188 0.862 0.694
O 0.667 0.259 0.359
O 0.829 0.059 0.083
O 0.270 0.386 0.622
O 0.229 0.611 0.873
O 0.885 0.234 0.600
O 0.638 0.356 0.731
O 0.013 0.812 0.019
O 0.617 0.874 0.231
O 0.998 0.391 0.992
O 0.375 0.607 0.257
O 0.350 0.123 0.741
O 0.733 0.380 0.101
O 0.999 0.015 0.403
O 0.119 0.744 0.357
O 0.382 0.996 0.995
O 0.380 0.761 0.641
O 0.770 0.649 0.389
O 0.978 0.012 0.815
O 0.221 0.215 0.219
O 0.613 0.604 0.610

(2)
DFT (PBE with a Hubbard U) results for a relaxed structure of CoBi12O20.

abc: 8.901 8.901 8.901
angles: 109.47 109.47 109.47
Sites, in units of the cell vectors:
Co 0.000 0.000 0.000
Bi 0.861 0.697 0.193
Bi 0.332 0.836 0.139
Bi 0.496 0.303 0.164
Bi 0.836 0.139 0.332
Bi 0.668 0.807 0.504
Bi 0.164 0.496 0.303
Bi 0.807 0.504 0.668
Bi 0.303 0.164 0.496
Bi 0.193 0.861 0.697
Bi 0.504 0.668 0.807
Bi 0.697 0.193 0.861
Bi 0.139 0.332 0.836
O 0.000 0.000 0.391
O 0.123 0.742 0.358
O 0.619 0.877 0.235
O 0.258 0.381 0.616
O 0.000 0.000 0.796
O 0.877 0.235 0.619
O 0.358 0.123 0.742
O 0.765 0.642 0.384
O 0.000 0.796 0.000
O 0.204 0.204 0.204
O 0.796 0.000 0.000
O 0.000 0.391 0.000
O 0.609 0.609 0.609
O 0.391 0.000 0.000
O 0.235 0.619 0.877
O 0.381 0.616 0.258
O 0.384 0.765 0.642
O 0.642 0.384 0.765
O 0.742 0.358 0.123
O 0.616 0.258 0.381

(3)
DFT (PBE with a Hubbard U) results for a relaxed structure of CoBi2O6.

abc: 8.926 8.926 5.015
angles: 90.00 90.00 120.00
Sites, in units of the cell vectors:
Co 0.000 0.000 0.500
Co 0.333 0.667 0.000
Co 0.667 0.333 0.000
Bi 0.000 0.374 0.500
Bi 0.292 0.292 0.000
Bi 0.000 0.708 0.000
Bi 0.626 0.626 0.500
Bi 0.374 0.000 0.500
Bi 0.708 0.000 0.000
O 0.083 0.200 0.717
O 0.233 0.465 0.221
O 0.136 0.598 0.781
O 0.402 0.539 0.781
O 0.232 0.767 0.221
O 0.117 0.917 0.717
O 0.535 0.768 0.221
O 0.200 0.083 0.283
O 0.461 0.864 0.781
O 0.800 0.883 0.717
O 0.465 0.233 0.779
O 0.598 0.136 0.219
O 0.539 0.402 0.219
O 0.767 0.232 0.779
O 0.917 0.117 0.283
O 0.768 0.535 0.779
O 0.864 0.461 0.219
O 0.883 0.800 0.283

(4)
DFT (PBE with a Hubbard U) results for a relaxed structure of CoBiPO5.

abc: 11.419 5.304 7.646
angles: 66.65 90.00 90.00
Sites, in units of the cell vectors:
Co 0.582 0.443 0.683
Co 0.082 0.557 0.817
Co 0.418 0.557 0.317
Co 0.918 0.443 0.183
Bi 0.600 0.072 0.311
Bi 0.100 0.928 0.189
Bi 0.400 0.928 0.689
Bi 0.900 0.072 0.811
P 0.849 0.815 0.473
P 0.349 0.185 0.027
P 0.151 0.185 0.527
P 0.651 0.815 0.973
O 0.674 0.132 0.879
O 0.174 0.868 0.621
O 0.326 0.868 0.121
O 0.826 0.132 0.379
O 0.978 0.243 0.014
O 0.478 0.757 0.486
O 0.022 0.757 0.986
O 0.522 0.243 0.514
O 0.917 0.741 0.662
O 0.417 0.259 0.838
O 0.083 0.259 0.338
O 0.583 0.741 0.162
O 0.081 0.285 0.661
O 0.581 0.715 0.839
O 0.919 0.715 0.339
O 0.419 0.285 0.161
O 0.776 0.687 0.009
O 0.276 0.313 0.491
O 0.224 0.313 0.991
O 0.724 0.687 0.509

(5)
DFT (PBE with a Hubbard U) results for a relaxed structure of SrCoBiRuO6.

abc: 5.652 5.695 9.680
angles: 54.48 90.00 90.00
Sites, in units of the cell vectors:
Sr 0.274 0.751 0.250
Sr 0.726 0.751 0.750
Co 0.253 0.497 0.000
Co 0.747 0.497 0.500
Bi 0.789 0.216 0.249
Bi 0.211 0.216 0.749
Ru 0.253 0.001 0.500
Ru 0.747 0.001 0.000
O 0.769 0.315 0.757
O 0.006 0.183 0.051
O 0.015 0.798 0.451
O 0.538 0.228 0.049
O 0.529 0.841 0.451
O 0.262 0.671 0.741
O 0.231 0.315 0.257
O 0.994 0.183 0.551
O 0.985 0.798 0.951
O 0.471 0.841 0.951
O 0.462 0.228 0.549
O 0.738 0.671 0.241

(6)
DFT (PBE with a Hubbard U) results for a relaxed structure of CoBi6S2O16.

abc: 5.664 23.449 11.409
angles: 84.96 90.00 90.00
Sites, in units of the cell vectors:
Co 0.106 0.500 0.000
Co 0.653 0.750 0.500
Co 0.106 0.000 0.000
Co 0.652 0.250 0.500
Bi 0.124 0.827 0.992
Bi 0.626 0.077 0.495
Bi 0.125 0.327 0.992
Bi 0.626 0.577 0.495
Bi 0.125 0.673 0.008
Bi 0.626 0.923 0.505
Bi 0.124 0.173 0.008
Bi 0.626 0.423 0.505
Bi 0.628 0.761 0.171
Bi 0.129 0.010 0.671
Bi 0.628 0.261 0.171
Bi 0.129 0.510 0.671
Bi 0.628 0.739 0.830
Bi 0.129 0.990 0.329
Bi 0.628 0.239 0.829
Bi 0.129 0.490 0.329
Bi 0.053 0.669 0.672
Bi 0.548 0.920 0.168
Bi 0.052 0.169 0.672
Bi 0.549 0.420 0.168
Bi 0.052 0.831 0.328
Bi 0.548 0.080 0.832
Bi 0.052 0.331 0.328
Bi 0.548 0.580 0.832
S 0.674 0.924 0.866
S 0.174 0.176 0.367
S 0.674 0.424 0.866
S 0.175 0.677 0.368
S 0.674 0.576 0.134
S 0.174 0.824 0.632
S 0.674 0.076 0.134
S 0.175 0.324 0.632
O 0.879 0.750 0.000
O 0.380 0.000 0.500
O 0.879 0.250 0.000
O 0.380 0.500 0.500
O 0.359 0.750 0.000
O 0.860 0.000 0.500
O 0.359 0.250 0.000
O 0.859 0.500 0.500
O 0.901 0.939 0.927
O 0.399 0.192 0.427
O 0.902 0.439 0.926
O 0.400 0.692 0.427
O 0.901 0.561 0.074
O 0.398 0.808 0.573
O 0.901 0.061 0.073
O 0.399 0.308 0.573
O 0.472 0.933 0.948
O 0.970 0.186 0.450
O 0.472 0.433 0.948
O 0.971 0.686 0.450
O 0.472 0.567 0.052
O 0.969 0.814 0.550
O 0.472 0.067 0.052
O 0.971 0.314 0.550
O 0.686 0.864 0.840
O 0.184 0.116 0.344
O 0.686 0.364 0.840
O 0.184 0.616 0.344
O 0.686 0.636 0.160
O 0.184 0.884 0.655
O 0.686 0.136 0.160
O 0.185 0.384 0.656
O 0.141 0.716 0.257
O 0.645 0.964 0.757
O 0.140 0.215 0.257
O 0.646 0.464 0.757
O 0.141 0.785 0.743
O 0.646 0.035 0.243
O 0.141 0.285 0.743
O 0.645 0.536 0.243
O 0.701 0.794 0.351
O 0.201 0.043 0.854
O 0.700 0.295 0.351
O 0.200 0.542 0.854
O 0.701 0.705 0.649
O 0.201 0.957 0.146
O 0.700 0.206 0.649
O 0.201 0.458 0.146
O 0.891 0.834 0.146
O 0.391 0.083 0.649
O 0.891 0.334 0.147
O 0.391 0.583 0.649
O 0.891 0.666 0.854
O 0.391 0.917 0.351
O 0.891 0.166 0.853
O 0.391 0.417 0.351
O 0.384 0.836 0.146
O 0.887 0.086 0.647
O 0.384 0.336 0.145
O 0.887 0.586 0.647
O 0.384 0.664 0.855
O 0.887 0.914 0.353
O 0.384 0.164 0.854
O 0.887 0.414 0.353

(7)
DFT (PBE with a Hubbard U) results for a relaxed structure of CoBi6S2O16.

abc: 5.677 17.789 17.098
angles: 116.98 89.99 99.18
Sites, in units of the cell vectors:
Co 0.401 0.500 0.750
Co 0.604 0.000 0.500
Co 0.104 0.000 0.000
Co 0.854 0.500 0.250
Bi 0.541 0.830 0.238
Bi 0.292 0.330 0.490
Bi 0.791 0.330 0.989
Bi 0.041 0.831 0.738
Bi 0.461 0.670 0.010
Bi 0.211 0.170 0.262
Bi 0.710 0.169 0.762
Bi 0.961 0.670 0.511
Bi 0.967 0.675 0.183
Bi 0.717 0.175 0.434
Bi 0.217 0.175 0.934
Bi 0.466 0.676 0.684
Bi 0.042 0.825 0.066
Bi 0.792 0.325 0.317
Bi 0.290 0.324 0.816
Bi 0.542 0.825 0.566
Bi 0.465 0.836 0.922
Bi 0.215 0.336 0.172
Bi 0.717 0.333 0.672
Bi 0.965 0.835 0.422
Bi 0.379 0.664 0.328
Bi 0.129 0.164 0.578
Bi 0.630 0.165 0.078
Bi 0.884 0.667 0.828
S 0.171 0.992 0.353
S 0.921 0.493 0.607
S 0.421 0.492 0.103
S 0.671 0.992 0.853
S 0.928 0.507 0.893
S 0.680 0.008 0.147
S 0.180 0.008 0.647
S 0.429 0.508 0.397
O 0.256 0.750 0.125
O 0.006 0.250 0.375
O 0.505 0.249 0.875
O 0.756 0.751 0.625
O 0.736 0.749 0.125
O 0.486 0.250 0.375
O 0.985 0.250 0.875
O 0.236 0.750 0.625
O 0.389 0.976 0.390
O 0.138 0.479 0.645
O 0.639 0.476 0.140
O 0.889 0.976 0.890
O 0.159 0.521 0.855
O 0.914 0.025 0.110
O 0.414 0.024 0.610
O 0.663 0.524 0.360
O 0.953 0.959 0.386
O 0.701 0.461 0.641
O 0.203 0.459 0.137
O 0.453 0.959 0.887
O 0.740 0.539 0.859
O 0.494 0.041 0.113
O 0.994 0.040 0.613
O 0.243 0.541 0.363
O 0.161 0.944 0.256
O 0.906 0.443 0.510
O 0.410 0.444 0.006
O 0.661 0.944 0.757
O 0.962 0.556 0.990
O 0.716 0.056 0.244
O 0.216 0.056 0.743
O 0.465 0.556 0.494
O 0.439 0.586 0.136
O 0.190 0.086 0.386
O 0.690 0.086 0.886
O 0.934 0.587 0.637
O 0.604 0.914 0.114
O 0.353 0.414 0.364
O 0.847 0.413 0.863
O 0.104 0.914 0.614
O 0.008 0.615 0.278
O 0.758 0.116 0.528
O 0.259 0.115 0.028
O 0.509 0.619 0.780
O 0.143 0.884 0.972
O 0.893 0.385 0.222
O 0.390 0.381 0.720
O 0.643 0.885 0.472
O 0.270 0.758 0.286
O 0.020 0.258 0.536
O 0.520 0.259 0.037
O 0.771 0.761 0.787
O 0.262 0.742 0.964
O 0.012 0.242 0.214
O 0.510 0.239 0.713
O 0.762 0.741 0.463
O 0.768 0.762 0.290
O 0.518 0.262 0.540
O 0.017 0.263 0.041
O 0.266 0.764 0.791
O 0.756 0.738 0.960
O 0.506 0.238 0.210
O 0.003 0.236 0.709
O 0.255 0.737 0.459

The evaluated formation energy for the records listed, in turn: -1.514; -1.583; -1.339; -2.132; -1.771; -1.774; -1.761 eV per atom.